! RbNdW2O8, optimized geometry, DFT GGA+U; values from VASP
! Total moment in μB per formula unit: 0.00
! Crystal system: monoclinic
&SYSTEM
  ibrav = 0, nat = 24, ntyp = 4
/
ATOMIC_SPECIES
Rb 85.47 Rb.upf
Nd 144.24 Nd.upf
W 183.84 W.upf
O 16.00 O.upf
ATOMIC_POSITIONS crystal
Rb 0.202 0.798 0.750
Rb 0.798 0.202 0.250
Nd 0.775 0.225 0.750
Nd 0.225 0.775 0.250
W 0.697 0.687 0.781
W 0.687 0.697 0.281
W 0.303 0.313 0.219
W 0.313 0.303 0.719
O 0.372 0.587 0.472
O 0.052 0.218 0.808
O 0.379 0.068 0.865
O 0.068 0.379 0.365
O 0.623 0.748 0.561
O 0.252 0.377 0.939
O 0.932 0.621 0.635
O 0.628 0.413 0.528
O 0.218 0.052 0.308
O 0.948 0.782 0.192
O 0.587 0.372 0.972
O 0.621 0.932 0.135
O 0.377 0.252 0.439
O 0.748 0.623 0.061
O 0.782 0.948 0.692
O 0.413 0.628 0.028
CELL_PARAMETERS angstrom
5.455 5.521 0.000
-5.455 5.521 0.000
0.000 4.888 5.810



! Li2Ti4NiP4O20, optimized geometry, DFT GGA+U; values from VASP
! Total moment in μB per formula unit: 2.00
! Crystal system: triclinic
! Offset from the most stable computed form in meV/atom: 0.0
&SYSTEM
  ibrav = 0, nat = 31, ntyp = 5
/
ATOMIC_SPECIES
Li 6.94 Li.upf
Ti 47.87 Ti.upf
Ni 58.69 Ni.upf
P 30.97 P.upf
O 16.00 O.upf
ATOMIC_POSITIONS crystal
Li 0.000 0.000 0.000
Li 0.500 0.000 0.000
Ti 0.236 0.774 0.660
Ti 0.251 0.719 0.160
Ti 0.749 0.281 0.840
Ti 0.764 0.226 0.340
Ni 0.500 0.500 0.500
P 0.254 0.369 0.872
P 0.250 0.125 0.373
P 0.750 0.875 0.627
P 0.746 0.631 0.128
O 0.056 0.249 0.862
O 0.058 0.247 0.371
O 0.251 0.010 0.546
O 0.248 0.486 0.045
O 0.245 0.836 0.886
O 0.279 0.656 0.384
O 0.272 0.496 0.704
O 0.251 0.000 0.203
O 0.442 0.242 0.880
O 0.442 0.254 0.369
O 0.558 0.746 0.631
O 0.558 0.758 0.120
O 0.749 0.000 0.797
O 0.728 0.504 0.296
O 0.721 0.344 0.616
O 0.755 0.164 0.114
O 0.752 0.514 0.955
O 0.749 0.990 0.454
O 0.942 0.753 0.629
O 0.944 0.751 0.138
CELL_PARAMETERS angstrom
-3.275 4.545 -3.232
-6.206 -2.510 2.953
0.873 4.651 5.726



! Li9Mn2Co5O16, optimized geometry, DFT GGA+U; values from VASP
! Total moment in μB per formula unit: 12.00
! Crystal system: triclinic
! Offset from the most stable computed form in meV/atom: 34.3
&SYSTEM
  ibrav = 0, nat = 32, ntyp = 4
/
ATOMIC_SPECIES
Li 6.94 Li.upf
Mn 54.94 Mn.upf
Co 58.93 Co.upf
O 16.00 O.upf
ATOMIC_POSITIONS crystal
Li 0.252 0.995 0.247
Li 0.256 0.256 0.754
Li 0.244 0.503 0.246
Li 0.744 0.259 0.244
Li 0.754 0.496 0.754
Li 0.756 0.746 0.248
Li 0.244 0.744 0.754
Li 0.752 0.004 0.753
Li 0.001 0.500 0.999
Mn 0.997 0.003 0.001
Mn 0.000 0.250 0.499
Co 0.000 0.750 0.501
Co 0.501 0.502 0.500
Co 0.499 0.746 0.999
Co 0.499 0.997 0.500
Co 0.494 0.257 0.998
O 0.135 0.762 0.111
O 0.141 0.015 0.619
O 0.144 0.229 0.108
O 0.642 0.025 0.116
O 0.639 0.246 0.614
O 0.596 0.494 0.105
O 0.137 0.523 0.617
O 0.642 0.744 0.614
O 0.363 0.254 0.384
O 0.391 0.473 0.881
O 0.359 0.754 0.386
O 0.860 0.484 0.379
O 0.863 0.773 0.894
O 0.862 0.975 0.385
O 0.372 0.003 0.895
O 0.860 0.237 0.890
CELL_PARAMETERS angstrom
-2.350 1.791 -4.006
2.966 -3.704 -3.607
-7.663 -6.132 -0.581



! Li2Fe3CoO8, optimized geometry, DFT GGA+U; values from VASP
! Total moment in μB per formula unit: 15.00
! Crystal system: trigonal
! Offset from the most stable computed form in meV/atom: 87.7
&SYSTEM
  ibrav = 0, nat = 14, ntyp = 4
/
ATOMIC_SPECIES
Li 6.94 Li.upf
Fe 55.84 Fe.upf
Co 58.93 Co.upf
O 16.00 O.upf
ATOMIC_POSITIONS crystal
Li 0.880 0.880 0.880
Li 0.501 0.501 0.501
Fe 0.993 0.503 0.503
Fe 0.503 0.993 0.503
Fe 0.503 0.503 0.993
Co 0.117 0.117 0.117
O 0.746 0.746 0.746
O 0.747 0.747 0.293
O 0.747 0.293 0.747
O 0.293 0.747 0.747
O 0.712 0.252 0.252
O 0.252 0.712 0.252
O 0.252 0.252 0.712
O 0.253 0.253 0.253
CELL_PARAMETERS angstrom
5.096 -2.963 0.000
5.096 2.963 0.000
3.373 0.000 4.834



! Li5Mn8B8O24, optimized geometry, DFT GGA+U; values from VASP
! Total moment in μB per formula unit: 37.00
! Crystal system: triclinic
! Offset from the most stable computed form in meV/atom: 4.8
&SYSTEM
  ibrav = 0, nat = 45, ntyp = 4
/
ATOMIC_SPECIES
Li 6.94 Li.upf
Mn 54.94 Mn.upf
B 10.81 B.upf
O 16.00 O.upf
ATOMIC_POSITIONS crystal
Li 0.885 0.845 0.661
Li 0.817 0.868 0.422
Li 0.840 0.861 0.917
Li 0.181 0.164 0.052
Li 0.127 0.136 0.289
Mn 0.801 0.493 0.309
Mn 0.838 0.478 0.810
Mn 0.482 0.190 0.437
Mn 0.503 0.184 0.936
Mn 0.535 0.834 0.063
Mn 0.471 0.823 0.560
Mn 0.171 0.521 0.185
Mn 0.201 0.491 0.688
B 0.858 0.502 0.063
B 0.841 0.485 0.563
B 0.491 0.153 0.188
B 0.517 0.151 0.685
B 0.479 0.845 0.310
B 0.503 0.850 0.814
B 0.136 0.509 0.437
B 0.171 0.508 0.937
O 0.902 0.544 0.415
O 0.936 0.535 0.909
O 0.759 0.381 0.207
O 0.890 0.769 0.058
O 0.767 0.391 0.713
O 0.605 0.257 0.043
O 0.628 0.225 0.536
O 0.444 0.078 0.330
O 0.799 0.716 0.568
O 0.510 0.110 0.833
O 0.737 0.848 0.319
O 0.735 0.808 0.822
O 0.245 0.174 0.194
O 0.259 0.140 0.684
O 0.488 0.900 0.166
O 0.554 0.922 0.659
O 0.389 0.756 0.462
O 0.131 0.253 0.431
O 0.423 0.756 0.956
O 0.234 0.598 0.283
O 0.141 0.241 0.949
O 0.243 0.637 0.786
O 0.095 0.464 0.088
O 0.102 0.497 0.585
CELL_PARAMETERS angstrom
5.287 0.000 0.000
-2.534 4.668 0.000
-0.521 -0.598 20.248



! Ca2FeBiO6, optimized geometry, DFT GGA+U; values from VASP
! Total moment in μB per formula unit: 5.00
! Crystal system: cubic
&SYSTEM
  ibrav = 0, nat = 10, ntyp = 4
/
ATOMIC_SPECIES
Ca 40.08 Ca.upf
Fe 55.84 Fe.upf
Bi 208.98 Bi.upf
O 16.00 O.upf
ATOMIC_POSITIONS crystal
Ca 0.250 0.250 0.250
Ca 0.750 0.750 0.750
Fe 0.500 0.500 0.500
Bi 0.000 0.000 0.000
O 0.744 0.256 0.256
O 0.256 0.744 0.744
O 0.744 0.256 0.744
O 0.256 0.744 0.256
O 0.744 0.744 0.256
O 0.256 0.256 0.744
CELL_PARAMETERS angstrom
0.000 -4.063 -4.063
4.063 0.000 -4.063
4.063 -4.063 0.000



! Li7Mn4P8O28, optimized geometry, DFT GGA+U; values from VASP
! Total moment in μB per formula unit: 19.00
! Crystal system: triclinic
! Offset from the most stable computed form in meV/atom: 1.2
&SYSTEM
  ibrav = 0, nat = 94, ntyp = 4
/
ATOMIC_SPECIES
Li 6.94 Li.upf
Mn 54.94 Mn.upf
P 30.97 P.upf
O 16.00 O.upf
ATOMIC_POSITIONS crystal
Li 0.289 0.115 0.450
Li 0.895 0.087 0.027
Li 0.595 0.157 0.044
Li 0.387 0.413 0.972
Li 0.077 0.330 0.456
Li 0.776 0.380 0.554
Li 0.222 0.611 0.448
Li 0.922 0.671 0.546
Li 0.606 0.584 0.029
Li 0.407 0.847 0.955
Li 0.911 0.650 0.042
Li 0.108 0.915 0.971
Li 0.427 0.839 0.461
Li 0.720 0.897 0.553
Mn 0.084 0.206 0.682
Mn 0.787 0.258 0.823
Mn 0.283 0.243 0.173
Mn 0.574 0.296 0.334
Mn 0.421 0.704 0.678
Mn 0.715 0.756 0.824
Mn 0.215 0.742 0.174
Mn 0.922 0.799 0.326
P 0.548 0.025 0.758
P 0.296 0.118 0.890
P 0.069 0.058 0.244
P 0.849 0.125 0.424
P 0.351 0.378 0.572
P 0.568 0.441 0.758
P 0.951 0.524 0.759
P 0.792 0.380 0.108
P 0.205 0.618 0.891
P 0.048 0.474 0.242
P 0.433 0.558 0.244
P 0.649 0.623 0.426
P 0.150 0.879 0.574
P 0.932 0.941 0.755
P 0.704 0.881 0.108
P 0.453 0.973 0.238
O 0.584 0.017 0.630
O 0.160 0.026 0.556
O 0.913 0.086 0.731
O 0.644 0.117 0.853
O 0.403 0.096 0.779
O 0.174 0.176 0.839
O 0.366 0.222 0.997
O 0.724 0.019 0.076
O 0.924 0.112 0.295
O 0.066 0.062 0.112
O 0.464 0.125 0.216
O 0.715 0.193 0.410
O 0.175 0.164 0.311
O 0.936 0.223 0.518
O 0.427 0.281 0.473
O 0.683 0.344 0.700
O 0.210 0.315 0.584
O 0.956 0.372 0.779
O 0.427 0.381 0.699
O 0.558 0.439 0.890
O 0.230 0.483 0.923
O 0.848 0.271 0.000
O 0.669 0.321 0.160
O 0.902 0.399 0.217
O 0.417 0.411 0.270
O 0.148 0.390 0.155
O 0.913 0.526 0.630
O 0.657 0.474 0.445
O 0.340 0.527 0.558
O 0.078 0.479 0.374
O 0.862 0.612 0.856
O 0.586 0.586 0.731
O 0.100 0.589 0.776
O 0.325 0.688 0.844
O 0.134 0.722 0.995
O 0.776 0.519 0.077
O 0.436 0.562 0.113
O 0.580 0.614 0.296
O 0.034 0.622 0.216
O 0.790 0.685 0.418
O 0.328 0.659 0.312
O 0.564 0.723 0.518
O 0.063 0.778 0.483
O 0.828 0.836 0.686
O 0.289 0.814 0.582
O 0.535 0.880 0.792
O 0.935 0.935 0.887
O 0.080 0.887 0.704
O 0.277 0.981 0.925
O 0.633 0.776 0.004
O 0.828 0.817 0.154
O 0.601 0.907 0.224
O 0.364 0.885 0.139
O 0.089 0.913 0.269
O 0.837 0.977 0.442
O 0.410 0.971 0.365
CELL_PARAMETERS angstrom
9.919 0.000 0.000
-0.062 9.932 0.000
-0.052 -2.487 11.107



! Gd3YV4O16, optimized geometry, DFT GGA+U; values from VASP
! Total moment in μB per formula unit: 21.00
! Crystal system: orthorhombic
&SYSTEM
  ibrav = 0, nat = 24, ntyp = 4
/
ATOMIC_SPECIES
Gd 157.25 Gd.upf
Y 88.91 Y.upf
V 50.94 V.upf
O 16.00 O.upf
ATOMIC_POSITIONS crystal
Gd 0.500 0.500 0.000
Gd 0.500 0.000 0.251
Gd 0.000 0.500 0.749
Y 0.000 0.000 0.500
V 0.000 0.500 0.252
V 0.500 0.000 0.748
V 0.500 0.500 0.500
V 0.000 0.000 0.000
O 0.920 0.234 0.343
O 0.418 0.735 0.841
O 0.233 0.416 0.591
O 0.734 0.918 0.092
O 0.416 0.233 0.409
O 0.918 0.734 0.908
O 0.735 0.418 0.159
O 0.234 0.920 0.657
O 0.584 0.767 0.409
O 0.082 0.266 0.908
O 0.265 0.582 0.159
O 0.766 0.080 0.657
O 0.080 0.766 0.343
O 0.582 0.265 0.841
O 0.767 0.584 0.591
O 0.266 0.082 0.092
CELL_PARAMETERS angstrom
-0.772 1.301 -5.868
-5.018 -1.385 3.103
-1.274 9.923 2.369



Raw total energy
In order: -7.39; -7.66; -5.82; -5.99; -7.45; -6.07; -7.02; -9.28
Unit: eV/atom